<i>
DFT (PBE-GGA) results for MgSO9 after structural relaxation.

The structure in extended XYZ format:
```
11
Lattice="3.935 2.272 2.848 -3.935 2.272 2.848 0.000 -4.544 2.848" Properties=species:S:1:pos:R:3 pbc="T T T"
Mg 0.000 0.000 0.000
S 0.000 0.000 4.412
O -1.499 0.695 1.430
O 0.147 -1.646 1.430
O -0.312 -1.384 4.387
O 1.352 0.951 1.430
O -1.043 0.962 4.387
O -1.419 -0.760 7.064
O 1.355 0.422 4.387
O 1.368 -0.848 7.064
O 0.051 1.609 7.064
```

---

<ii>
DFT (PBE-GGA) results for MgSO9 after structural relaxation.

The structure in extended XYZ format:
```
11
Lattice="4.830 0.000 0.000 -0.457 6.131 0.000 -1.890 -2.924 5.691" Properties=species:S:1:pos:R:3 pbc="T T T"
Mg 0.000 0.000 0.000
S 1.547 0.653 3.874
O 0.598 -0.195 1.842
O -0.186 3.852 3.835
O -0.055 3.404 5.014
O 1.640 0.765 2.254
O 1.904 3.778 1.324
O 2.992 4.364 1.339
O 2.513 -0.723 3.998
O 2.443 1.771 4.299
O 2.499 -1.028 5.408
```

---

How far above the most stable structure does each one sit? In meV/atom: <i> 0; <ii> 142.

---

<i>
DFT (PBE-GGA) results for Sr4MgS4O16 after structural relaxation.

The structure in extended XYZ format:
```
25
Lattice="4.718 0.000 0.000 0.000 5.215 0.000 -0.198 0.000 17.240" Properties=species:S:1:pos:R:3 pbc="T T T"
Sr 0.000 0.000 0.000
Sr 0.010 0.000 10.178
Sr 2.086 2.607 12.900
Sr 2.660 2.607 2.746
Mg 1.278 2.607 6.089
S 0.521 0.000 3.189
S 1.860 2.607 16.655
S 2.632 2.607 9.553
S 4.169 0.000 13.336
O -0.102 1.209 12.538
O -0.102 4.005 12.538
O 0.107 1.213 2.365
O 0.107 4.002 2.365
O 0.018 0.000 14.674
O 0.374 2.607 16.628
O 2.018 0.000 3.205
O 2.024 2.607 8.221
O 2.218 1.388 10.347
O 2.218 3.827 10.347
O 2.508 1.393 0.177
O 2.508 3.822 0.177
O 2.422 2.607 15.293
O 2.682 0.000 13.324
O 4.125 2.607 9.504
O 4.634 0.000 4.506
```

---

<ii>
DFT (PBE-GGA) results for Sr4MgS4O16 after structural relaxation.

The structure in extended XYZ format:
```
25
Lattice="4.688 0.000 0.000 0.000 5.225 0.000 -0.562 0.000 17.489" Properties=species:S:1:pos:R:3 pbc="T T T"
Sr 0.000 0.000 0.000
Sr -0.286 0.000 10.462
Sr 2.337 2.612 4.191
Sr 2.126 2.612 14.646
Mg 2.133 0.000 7.294
S 0.065 0.000 14.212
S 2.062 2.612 0.431
S 2.344 2.612 10.768
S 4.398 0.000 3.861
O -0.383 1.216 14.977
O -0.383 4.009 14.977
O 0.145 0.000 2.450
O 0.186 1.239 4.552
O 0.186 3.986 4.552
O 0.576 2.612 0.441
O 1.551 0.000 14.190
O 1.859 1.371 10.082
O 1.859 3.853 10.082
O 1.916 2.612 12.180
O 1.953 1.397 17.155
O 1.953 3.827 17.155
O 2.619 2.612 1.788
O 2.896 0.000 3.956
O 3.839 2.612 10.658
O 4.186 0.000 12.858
```

---

How far above the most stable structure does each one sit? In meV/atom: <i> 6; <ii> 0.

---

<i>
DFT (PBE-GGA) results for MgUS2O21 after structural relaxation.

The structure in extended XYZ format:
```
50
Lattice="5.980 -4.162 0.000 5.980 4.162 0.000 -2.078 0.000 15.218" Properties=species:S:1:pos:R:3 pbc="T T T"
Mg 2.990 2.081 0.000
Mg 1.951 -2.081 7.609
U 4.422 3.511 11.414
U 5.461 -3.511 3.805
S 1.790 0.340 10.010
S 2.829 -0.340 2.401
S 7.053 0.340 12.818
S 8.092 -0.340 5.209
O 1.218 1.655 9.460
O 4.069 3.374 9.629
O 4.001 2.926 7.112
O 4.775 3.374 13.198
O 1.812 0.347 3.235
O 5.461 2.904 3.805
O 1.938 1.260 13.706
O 5.812 2.512 0.769
O 5.110 2.512 6.840
O 3.190 0.518 1.243
O 0.773 -0.347 10.844
O 6.920 2.926 0.497
O 2.944 0.784 10.786
O 2.151 -0.518 8.852
O 2.691 0.126 13.660
O 3.730 -0.126 6.051
O 2.257 -1.655 1.851
O 3.880 0.244 14.105
O 3.983 -0.784 3.177
O 2.977 -1.260 6.097
O 4.964 0.244 8.722
O 4.919 -0.244 6.496
O 6.905 1.260 9.121
O 5.899 0.784 12.041
O 6.003 -0.244 1.113
O 7.626 1.655 13.368
O 6.153 0.126 9.167
O 7.192 -0.126 1.558
O 7.732 0.518 6.366
O 6.938 -0.784 4.432
O 2.962 -2.926 14.721
O 9.109 0.347 4.374
O 6.693 -0.518 13.975
O 4.773 -2.512 8.378
O 4.071 -2.512 14.450
O 7.944 -1.260 1.512
O 4.422 -2.904 11.414
O 8.070 -0.347 11.983
O 5.108 -3.374 2.020
O 5.882 -2.926 8.106
O 5.814 -3.374 5.589
O 8.665 -1.655 5.758
```

---

<ii>
DFT (PBE-GGA) results for MgUS2O21 after structural relaxation.

The structure in extended XYZ format:
```
50
Lattice="5.676 -3.913 0.000 5.676 3.913 0.000 -4.835 0.000 20.025" Properties=species:S:1:pos:R:3 pbc="T T T"
Mg 0.000 0.000 0.000
Mg -2.417 0.000 10.012
U 2.050 1.677 15.019
U 4.467 -1.677 5.006
S 2.191 1.055 5.875
S -0.226 -1.055 15.888
S 6.743 1.055 4.137
S 4.325 -1.055 14.150
O 1.024 1.486 5.027
O 4.467 3.812 5.006
O 1.688 1.018 1.576
O 2.658 1.661 2.017
O -0.326 0.799 9.246
O 2.851 2.255 6.461
O -0.166 2.294 19.597
O 0.825 0.432 9.494
O 2.051 1.718 13.211
O -2.744 -0.799 19.259
O 1.743 0.218 6.998
O 4.265 2.294 10.440
O -0.730 -1.018 11.589
O 2.048 1.718 16.827
O 6.084 2.255 3.551
O -1.592 -0.432 19.506
O -0.674 -0.218 17.011
O 3.102 0.320 4.962
O -1.394 -1.486 15.039
O 0.685 -0.320 14.975
O 0.241 -1.661 12.029
O 6.276 1.661 7.995
O 5.832 0.320 5.050
O 7.910 1.486 4.986
O 3.414 -0.320 15.062
O 7.191 0.218 3.014
O 8.109 0.432 0.519
O 0.433 -2.255 16.474
O 4.469 -1.718 3.198
O 7.246 1.018 8.436
O 2.252 -2.294 9.585
O 4.773 -0.218 13.027
O 9.260 0.799 0.766
O 4.465 -1.718 6.814
O 5.691 -0.432 10.531
O 6.682 -2.294 0.428
O 3.666 -2.255 13.564
O 6.843 -0.799 10.778
O 3.858 -1.661 18.008
O 4.829 -1.018 18.448
O 2.050 -3.812 15.019
O 5.493 -1.486 14.998
```

---

How far above the most stable structure does each one sit? In meV/atom: <i> 0; <ii> 64.

---

<i>
DFT (PBE-GGA) results for SrMgSb2O6 after structural relaxation.

The structure in extended XYZ format:
```
10
Lattice="5.564 0.000 0.000 -2.782 4.819 0.000 0.000 0.000 6.064" Properties=species:S:1:pos:R:3 pbc="T T T"
Sr 0.000 0.000 0.000
Mg 0.000 0.000 3.032
Sb 0.000 3.212 3.032
Sb 2.782 1.606 3.032
O -0.908 1.572 1.925
O -1.874 3.247 4.139
O 1.815 0.000 1.925
O 0.908 1.572 4.139
O 3.749 0.000 4.139
O 1.874 3.247 1.925
```

---

<ii>
DFT (PBE-GGA) results for SrMgSb2O6 after structural relaxation.

The structure in extended XYZ format:
```
10
Lattice="2.857 -4.940 0.000 2.857 4.940 0.000 -0.003 0.000 5.392" Properties=species:S:1:pos:R:3 pbc="T T T"
Sr 0.000 0.000 0.000
Mg 2.857 1.642 0.000
Sb 2.856 1.654 2.696
Sb 2.856 -1.643 2.696
O 1.978 2.972 1.438
O 1.273 1.750 3.953
O 2.150 0.232 1.439
O 3.733 2.972 3.954
O 3.561 0.232 3.953
O 4.438 1.750 1.439
```

---

How far above the most stable structure does each one sit? In meV/atom: <i> 93; <ii> 0.

---

<i>
DFT (PBE-GGA) results for Sr2YMgSbO6 after structural relaxation.

The structure in extended XYZ format:
```
11
Lattice="-3.046 3.124 4.839 3.046 -3.124 4.839 3.046 3.124 -4.839" Properties=species:S:1:pos:R:3 pbc="T T T"
Sr 0.000 0.000 1.760
Sr 0.000 0.000 7.917
Y 0.000 3.124 0.000
Mg 0.000 0.000 4.839
Sb 3.046 0.000 0.000
O 3.046 0.000 2.442
O 1.596 1.639 0.000
O 1.450 -1.484 4.839
O 1.596 4.608 0.000
O 1.450 1.484 4.839
O 0.000 3.124 2.396
```

---

<ii>
DFT (PBE-GGA) results for Sr2YMgSbO6 after structural relaxation.

The structure in extended XYZ format:
```
11
Lattice="3.094 1.787 6.589 -3.094 1.787 6.589 0.000 -3.573 6.589" Properties=species:S:1:pos:R:3 pbc="T T T"
Sr 0.000 0.000 0.000
Sr 0.000 0.000 8.862
Y 0.000 0.000 5.617
Mg 0.000 0.000 13.683
Sb 0.000 0.000 16.608
O 0.000 -1.941 4.499
O -1.681 0.971 4.499
O -1.452 -0.838 7.185
O 1.452 -0.838 7.185
O 0.000 1.676 7.185
O 1.681 0.971 4.499
```

---

How far above the most stable structure does each one sit? In meV/atom: <i> 285; <ii> 0.

---

<i>
DFT (PBE-GGA) results for Mg2SiO4 after structural relaxation.

The structure in extended XYZ format:
```
28
Lattice="-2.882 5.780 4.178 2.882 -5.780 4.178 2.882 5.780 -4.178" Properties=species:S:1:pos:R:3 pbc="T T T"
Mg 0.000 0.000 0.000
Mg 1.441 4.306 -2.089
Mg 1.441 -1.475 2.089
Mg 0.000 2.890 0.252
Mg 0.000 5.780 0.000
Mg 2.882 2.890 3.926
Mg -1.441 7.255 2.089
Mg 1.441 7.255 2.089
Si 2.882 1.383 0.973
Si 2.882 4.397 0.973
Si 0.000 1.383 3.205
Si 0.000 4.397 3.205
O 2.882 -2.890 2.373
O 1.506 1.418 0.061
O 4.258 1.418 0.061
O 2.882 0.116 2.043
O 0.000 0.116 2.135
O 1.506 4.362 0.061
O 1.376 -1.418 4.239
O 2.882 2.890 1.807
O 0.000 2.890 2.371
O 1.506 7.198 -0.061
O 1.376 1.418 4.117
O 2.882 5.664 2.043
O 0.000 5.664 2.135
O -1.376 4.362 4.117
O 1.376 4.362 4.117
O 0.000 8.671 1.805
```

---

<ii>
DFT (PBE-GGA) results for Mg2SiO4 after structural relaxation.

The structure in extended XYZ format:
```
14
Lattice="0.000 4.077 4.077 4.077 0.000 4.077 4.077 4.077 0.000" Properties=species:S:1:pos:R:3 pbc="T T T"
Mg 0.000 0.000 0.000
Mg 2.038 2.038 0.000
Mg 2.038 0.000 2.038
Mg 0.000 2.038 2.038
Si 3.058 3.058 3.058
Si 5.096 5.096 5.096
O 2.087 2.087 2.087
O 4.028 4.028 2.087
O 4.028 2.087 4.028
O 6.067 4.125 4.125
O 2.087 4.028 4.028
O 4.125 6.067 4.125
O 4.125 4.125 6.067
O 6.067 6.067 6.067
```

---

<iii>
DFT (PBE-GGA) results for Mg2SiO4 after structural relaxation.

The structure in extended XYZ format:
```
28
Lattice="4.800 0.000 0.000 0.000 6.081 0.000 -0.015 0.000 10.481" Properties=species:S:1:pos:R:3 pbc="T T T"
Mg 0.000 0.000 0.000
Mg -0.007 0.000 5.240
Mg 0.000 3.040 0.000
Mg 0.002 1.562 7.772
Mg 0.002 4.519 7.772
Mg 2.393 3.040 5.240
Mg 4.784 1.562 2.709
Mg 4.784 4.519 2.709
Si 1.953 3.040 1.732
Si 1.998 0.000 7.015
Si 2.788 0.000 3.466
Si 2.833 3.040 8.749
O 1.159 1.734 1.018
O 1.159 4.347 1.018
O 1.163 0.000 3.491
O 1.160 0.000 8.474
O 1.211 3.040 8.736
O 1.301 3.040 3.284
O 1.313 1.313 6.220
O 1.313 4.768 6.220
O 3.473 1.313 4.261
O 3.473 4.768 4.261
O 3.484 3.040 7.196
O 3.574 3.040 1.744
O 3.626 0.000 2.007
O 3.622 0.000 6.989
O 3.626 1.734 9.462
O 3.626 4.347 9.462
```

---

How far above the most stable structure does each one sit? In meV/atom: <i> 0; <ii> 22; <iii> 91.